No. 1
Material: NaNiF3
Method: DFT, PBE with a Hubbard U
State: optimized geometry

Output
- calculated density (g/cm³) = 3.92
- energy with MP2020 corrections (eV/f.u.) = -25.83

```
data_NaNiF3
_cell_length_a 5.6065
_cell_length_b 7.7622
_cell_length_c 5.4005
_cell_angle_alpha 90.00
_cell_angle_beta 90.00
_cell_angle_gamma 90.00
_symmetry_space_group_name_H-M 'P n m a'
_symmetry_Int_Tables_number 62
loop_
_symmetry_equiv_pos_as_xyz
'x,y,z'
'-x,-y,-z'
'-x+1/2,-y,z+1/2'
'x+1/2,y,-z+1/2'
'x+1/2,-y+1/2,-z+1/2'
'-x+1/2,y+1/2,z+1/2'
'-x,y+1/2,-z'
'x,-y+1/2,z'
loop_
_atom_site_label
_atom_site_type_symbol
_atom_site_fract_x
_atom_site_fract_y
_atom_site_fract_z
Na1 Na 0.0595 0.2500 0.0164
Ni1 Ni 0.0000 0.0000 0.5000
F1 F 0.0365 0.7500 0.3951
F2 F 0.2000 0.5545 0.8040
```

***

No. 2
Material: Mn3Zn2AsO12
Method: DFT, PBE with a Hubbard U
State: optimized geometry

Output
- calculated density (g/cm³) = 3.37
- energy with MP2020 corrections (eV/f.u.) = -110.14
- offset from the most stable computed form (eV/f.u.) = 4.38
- magnetic moment (μB per cell) = 5.0

```
data_Mn3Zn2AsO12
_cell_length_a 25.6361
_cell_length_b 3.0146
_cell_length_c 7.4891
_cell_angle_alpha 90.00
_cell_angle_beta 106.55
_cell_angle_gamma 90.00
_symmetry_space_group_name_H-M 'C 1 m 1'
_symmetry_Int_Tables_number 8
loop_
_symmetry_equiv_pos_as_xyz
'x,y,z'
'x,-y,z'
'x+1/2,y+1/2,z'
'x+1/2,-y+1/2,z'
loop_
_atom_site_label
_atom_site_type_symbol
_atom_site_fract_x
_atom_site_fract_y
_atom_site_fract_z
Mn1 Mn 0.0000 0.0000 0.0000
Mn2 Mn 0.0872 0.5000 0.8269
Mn3 Mn 0.1741 0.0000 0.7226
Zn1 Zn 0.2834 0.5000 0.0307
Zn2 Zn 0.3795 0.0000 0.9572
As1 As 0.4763 0.5000 0.4772
O1 O 0.0260 0.0000 0.6876
O2 O 0.0502 0.5000 0.0190
O3 O 0.1231 0.5000 0.6321
O4 O 0.1312 0.0000 0.9172
O5 O 0.2028 0.0000 0.5385
O6 O 0.2160 0.5000 0.8536
O7 O 0.2942 0.5000 0.5960
O8 O 0.3306 0.0000 0.0975
O9 O 0.3403 0.5000 0.7206
O10 O 0.4363 0.0000 0.4868
O11 O 0.4480 0.0000 0.9275
O12 O 0.4934 0.5000 0.2809
```

***

No. 3
Material: Mn3Cu2O8
Method: DFT, PBE with a Hubbard U
State: optimized geometry

Output
- calculated density (g/cm³) = 5.05
- energy with MP2020 corrections (eV/f.u.) = -94.98
- magnetic moment (μB per cell) = 14.0

```
data_Mn3Cu2O8
_cell_length_a 9.6720
_cell_length_b 5.7572
_cell_length_c 5.0295
_cell_angle_alpha 90.00
_cell_angle_beta 99.87
_cell_angle_gamma 90.00
_symmetry_space_group_name_H-M 'C 1 2/m 1'
_symmetry_Int_Tables_number 12
loop_
_symmetry_equiv_pos_as_xyz
'x,y,z'
'-x,-y,-z'
'-x,y,-z'
'x,-y,z'
'x+1/2,y+1/2,z'
'-x+1/2,-y+1/2,-z'
'-x+1/2,y+1/2,-z'
'x+1/2,-y+1/2,z'
loop_
_atom_site_label
_atom_site_type_symbol
_atom_site_fract_x
_atom_site_fract_y
_atom_site_fract_z
Mn1 Mn 0.0000 0.0000 0.0000
Mn2 Mn 0.0000 0.2562 0.5000
Cu1 Cu 0.2107 0.5000 0.0747
O1 O 0.1006 0.0000 0.3599
O2 O 0.1070 0.5000 0.3878
O3 O 0.1201 0.2289 0.8614
```

***

No. 4
Material: VBiPbO5
Method: DFT, PBE with a Hubbard U
State: optimized geometry

Output
- calculated density (g/cm³) = 7.06
- energy with MP2020 corrections (eV/f.u.) = -57.48
- offset from the most stable computed form (eV/f.u.) = 0.14
- magnetic moment (μB per cell) = 0.0

```
data_VBiPbO5
_cell_length_a 13.4238
_cell_length_b 5.6557
_cell_length_c 7.2837
_cell_angle_alpha 90.00
_cell_angle_beta 111.46
_cell_angle_gamma 90.00
_symmetry_space_group_name_H-M 'C 1 2/m 1'
_symmetry_Int_Tables_number 12
loop_
_symmetry_equiv_pos_as_xyz
'x,y,z'
'-x,-y,-z'
'-x,y,-z'
'x,-y,z'
'x+1/2,y+1/2,z'
'-x+1/2,-y+1/2,-z'
'-x+1/2,y+1/2,-z'
'x+1/2,-y+1/2,z'
loop_
_atom_site_label
_atom_site_type_symbol
_atom_site_fract_x
_atom_site_fract_y
_atom_site_fract_z
V1 V 0.1657 0.0000 0.1480
Bi1 Bi 0.0129 0.5000 0.7503
Pb1 Pb 0.1577 0.0000 0.6125
O1 O 0.0000 0.2631 0.5000
O2 O 0.1002 0.0000 0.8932
O3 O 0.1344 0.2494 0.2594
O4 O 0.1956 0.5000 0.7859
```

***

No. 5
Material: Li9Mn2Co5O16
Method: DFT, PBE with a Hubbard U
State: optimized geometry

Output
- calculated density (g/cm³) = 4.19
- energy with MP2020 corrections (eV/f.u.) = -208.75
- offset from the most stable computed form (eV/f.u.) = 1.11
- magnetic moment (μB per cell) = 10.0

```
data_Li9Mn2Co5O16
_cell_length_a 5.0543
_cell_length_b 5.1179
_cell_length_c 11.7157
_cell_angle_alpha 91.24
_cell_angle_beta 92.03
_cell_angle_gamma 108.87
_symmetry_space_group_name_H-M 'P 1'
_symmetry_Int_Tables_number 1
loop_
_symmetry_equiv_pos_as_xyz
'x,y,z'
loop_
_atom_site_label
_atom_site_type_symbol
_atom_site_fract_x
_atom_site_fract_y
_atom_site_fract_z
Li1 Li 0.0000 0.0000 0.0000
Li2 Li 0.0005 0.0089 0.4945
Li3 Li 0.0034 0.0077 0.2455
Li4 Li 0.0048 0.0144 0.7594
Li5 Li 0.0048 0.5134 0.8769
Li6 Li 0.4959 0.0060 0.6256
Li7 Li 0.5014 0.0044 0.8834
Li8 Li 0.5040 0.0106 0.1227
Li9 Li 0.5061 0.0116 0.3681
Mn1 Mn 0.5049 0.5125 0.7542
Mn2 Mn 0.9958 0.5008 0.6272
Co1 Co 0.0099 0.5117 0.1175
Co2 Co 0.4982 0.5033 0.4981
Co3 Co 0.5025 0.5114 0.2450
Co4 Co 0.5121 0.5171 0.9984
Co5 Co 0.9965 0.5055 0.3691
O1 O 0.2283 0.7133 0.5051
O2 O 0.2365 0.2759 0.6331
O3 O 0.2396 0.7378 0.2510
O4 O 0.2553 0.7321 0.7397
O5 O 0.2594 0.2684 0.1324
O6 O 0.2651 0.2778 0.3832
O7 O 0.2664 0.7335 0.0038
O8 O 0.2980 0.2925 0.8692
O9 O 0.7362 0.7180 0.6240
O10 O 0.7401 0.7417 0.3727
O11 O 0.7418 0.7581 0.8632
O12 O 0.7435 0.7404 0.1220
O13 O 0.7479 0.2791 0.5035
O14 O 0.7503 0.2880 0.0058
O15 O 0.7548 0.2934 0.7390
O16 O 0.7644 0.2750 0.2544
```

***

No. 6
Material: Li4V5Cr3O16
Method: DFT, PBE with a Hubbard U
State: optimized geometry

Output
- calculated density (g/cm³) = 4.03
- energy with MP2020 corrections (eV/f.u.) = -229.54
- offset from the most stable computed form (eV/f.u.) = 0.18
- magnetic moment (μB per cell) = 15.0

```
data_Li4V5Cr3O16
_cell_length_a 5.8669
_cell_length_b 5.9028
_cell_length_c 9.5220
_cell_angle_alpha 89.96
_cell_angle_beta 89.85
_cell_angle_gamma 60.31
_symmetry_space_group_name_H-M 'P 1'
_symmetry_Int_Tables_number 1
loop_
_symmetry_equiv_pos_as_xyz
'x,y,z'
loop_
_atom_site_label
_atom_site_type_symbol
_atom_site_fract_x
_atom_site_fract_y
_atom_site_fract_z
Li1 Li 0.0000 0.0000 0.0000
Li2 Li 0.0021 0.9978 0.4988
Li3 Li 0.3290 0.3322 0.0998
Li4 Li 0.6639 0.6653 0.6030
V1 V 0.1728 0.1706 0.7797
V2 V 0.3357 0.3314 0.5053
V3 V 0.3480 0.8238 0.2786
V4 V 0.6711 0.6693 0.0039
V5 V 0.8291 0.3418 0.2826
Cr1 Cr 0.1710 0.6601 0.7805
Cr2 Cr 0.6596 0.1718 0.7810
Cr3 Cr 0.8310 0.8293 0.2818
O1 O 0.0056 0.0047 0.6866
O2 O 0.0134 0.9926 0.1881
O3 O 0.0410 0.4724 0.6506
O4 O 0.1710 0.6617 0.3986
O5 O 0.1725 0.1637 0.3979
O6 O 0.3227 0.3256 0.8905
O7 O 0.3328 0.8356 0.8970
O8 O 0.4740 0.0401 0.6516
O9 O 0.4788 0.4768 0.6538
O10 O 0.5111 0.5299 0.1466
O11 O 0.5172 0.9596 0.1527
O12 O 0.6489 0.6775 0.3936
O13 O 0.6623 0.1704 0.3990
O14 O 0.8279 0.8305 0.8996
O15 O 0.8346 0.3330 0.8986
O16 O 0.9566 0.5210 0.1522
```

***

No. 7
Material: Li3Co2Si2O8
Method: DFT, PBE with a Hubbard U
State: optimized geometry

Output
- calculated density (g/cm³) = 3.05
- energy with MP2020 corrections (eV/f.u.) = -106.46
- offset from the most stable computed form (eV/f.u.) = 0.07
- magnetic moment (μB per cell) = 14.0

```
data_Li3Co2Si2O8
_cell_length_a 6.4083
_cell_length_b 5.1085
_cell_length_c 10.7319
_cell_angle_alpha 90.00
_cell_angle_beta 90.04
_cell_angle_gamma 90.00
_symmetry_space_group_name_H-M 'P 1 c 1'
_symmetry_Int_Tables_number 7
loop_
_symmetry_equiv_pos_as_xyz
'x,y,z'
'x,-y,z+1/2'
loop_
_atom_site_label
_atom_site_type_symbol
_atom_site_fract_x
_atom_site_fract_y
_atom_site_fract_z
Li1 Li 0.0000 0.0509 0.0000
Li2 Li 0.2586 0.0525 0.7667
Li3 Li 0.5055 0.4440 0.1863
Co1 Co 0.0051 0.4381 0.1819
Co2 Co 0.5138 0.0610 0.0032
Si1 Si 0.2544 0.4357 0.4373
Si2 Si 0.7559 0.0619 0.7552
O1 O 0.0448 0.4545 0.0121
O2 O 0.2339 0.4617 0.7881
O3 O 0.2568 0.1143 0.4369
O4 O 0.4571 0.4418 0.0055
O5 O 0.5395 0.0429 0.1896
O6 O 0.7584 0.0036 0.4025
O7 O 0.7696 0.3815 0.7292
O8 O 0.9737 0.0643 0.1909
```

***

No. 8
Material: Li4V2Cr3Fe3O16
Method: DFT, PBE with a Hubbard U
State: optimized geometry

Output
- calculated density (g/cm³) = 4.07
- energy with MP2020 corrections (eV/f.u.) = -219.81
- magnetic moment (μB per cell) = 48.0

```
data_Li4V2Cr3Fe3O16
_cell_length_a 10.2989
_cell_length_b 5.9424
_cell_length_c 9.4497
_cell_angle_alpha 90.00
_cell_angle_beta 90.75
_cell_angle_gamma 90.00
_symmetry_space_group_name_H-M 'C 1 m 1'
_symmetry_Int_Tables_number 8
loop_
_symmetry_equiv_pos_as_xyz
'x,y,z'
'x,-y,z'
'x+1/2,y+1/2,z'
'x+1/2,-y+1/2,z'
loop_
_atom_site_label
_atom_site_type_symbol
_atom_site_fract_x
_atom_site_fract_y
_atom_site_fract_z
Li1 Li 0.0000 0.0000 0.0000
Li2 Li 0.9996 0.0000 0.4986
Li3 Li 0.1654 0.5000 0.5938
Li4 Li 0.3313 0.0000 0.0911
V1 V 0.1682 0.5000 0.9949
V2 V 0.3329 0.0000 0.4970
Cr1 Cr 0.3264 0.5000 0.2781
Cr2 Cr 0.4129 0.2422 0.7771
Fe1 Fe 0.0840 0.2615 0.2724
Fe2 Fe 0.1719 0.0000 0.7708
O1 O 0.9996 0.0000 0.1898
O2 O 0.9999 0.0000 0.6875
O3 O 0.0191 0.5000 0.1400
O4 O 0.0862 0.2643 0.9020
O5 O 0.1638 0.5000 0.3869
O6 O 0.1754 0.0000 0.4050
O7 O 0.2395 0.2857 0.1445
O8 O 0.2621 0.2198 0.6439
O9 O 0.3258 0.5000 0.8983
O10 O 0.3299 0.0000 0.8857
O11 O 0.4109 0.2386 0.4011
O12 O 0.4760 0.0000 0.6489
```

***

No. 9
Material: BaCo4O8
Method: DFT, PBE with a Hubbard U
State: optimized geometry

Output
- calculated density (g/cm³) = 3.97
- energy with MP2020 corrections (eV/f.u.) = -85.98
- magnetic moment (μB per cell) = 18.0

```
data_BaCo4O8
_cell_length_a 5.5860
_cell_length_b 5.5860
_cell_length_c 7.7549
_cell_angle_alpha 90.00
_cell_angle_beta 90.00
_cell_angle_gamma 120.00
_symmetry_space_group_name_H-M 'P -3 1 m'
_symmetry_Int_Tables_number 162
_symmetry_space_group_name_Hall '-P 3 2'
loop_
_atom_site_label
_atom_site_type_symbol
_atom_site_fract_x
_atom_site_fract_y
_atom_site_fract_z
Ba1 Ba 0.0000 0.0000 0.0000
Co1 Co 0.3333 0.6667 0.2389
O1 O 0.0000 0.3580 0.2838
O2 O 0.3333 0.6667 0.0000
```

***

No. 10
Material: Ba2AlNi2F11
Method: DFT, PBE with a Hubbard U
State: optimized geometry

Output
- calculated density (g/cm³) = 4.65
- energy with MP2020 corrections (eV/f.u.) = -94.46
- magnetic moment (μB per cell) = 12.0

```
data_Ba2AlNi2F11
_cell_length_a 7.3904
_cell_length_b 7.3904
_cell_length_c 14.2243
_cell_angle_alpha 90.00
_cell_angle_beta 90.00
_cell_angle_gamma 120.00
_symmetry_space_group_name_H-M 'P 32'
_symmetry_Int_Tables_number 145
loop_
_symmetry_equiv_pos_as_xyz
'x,y,z'
'-y,x-y,z+2/3'
'-x+y,-x,z+1/3'
loop_
_atom_site_label
_atom_site_type_symbol
_atom_site_fract_x
_atom_site_fract_y
_atom_site_fract_z
Ba1 Ba 0.1409 0.0145 0.0000
Ba2 Ba 0.5129 0.1708 0.4668
Al1 Al 0.1743 0.4988 0.8739
Ni1 Ni 0.1375 0.4371 0.3853
Ni2 Ni 0.3364 0.3194 0.2177
F1 F 0.9996 0.5925 0.4194
F2 F 0.0007 0.7497 0.6866
F3 F 0.0446 0.1364 0.1773
F4 F 0.0522 0.7516 0.1873
F5 F 0.0797 0.3964 0.9871
F6 F 0.1297 0.7190 0.8784
F7 F 0.2228 0.5438 0.2455
F8 F 0.2515 0.5764 0.7514
F9 F 0.3601 0.1478 0.6861
F10 F 0.4118 0.0915 0.1621
F11 F 0.5262 0.1558 0.9258
```

***

No. 11
Material: Li9Mn7O16
Method: DFT, PBE with a Hubbard U
State: optimized geometry

Output
- calculated density (g/cm³) = 3.93
- energy with MP2020 corrections (eV/f.u.) = -228.74
- offset from the most stable computed form (eV/f.u.) = 0.37
- magnetic moment (μB per cell) = 26.0

```
data_Li9Mn7O16
_cell_length_a 5.9961
_cell_length_b 6.0568
_cell_length_c 8.1928
_cell_angle_alpha 90.83
_cell_angle_beta 90.38
_cell_angle_gamma 94.21
_symmetry_space_group_name_H-M 'P -1'
_symmetry_Int_Tables_number 2
loop_
_symmetry_equiv_pos_as_xyz
'x,y,z'
'-x,-y,-z'
loop_
_atom_site_label
_atom_site_type_symbol
_atom_site_fract_x
_atom_site_fract_y
_atom_site_fract_z
Li1 Li 0.0000 0.0000 0.0000
Li2 Li 0.0000 0.0000 0.5000
Li3 Li 0.0000 0.5000 0.0000
Li4 Li 0.2450 0.2436 0.2561
Li5 Li 0.2465 0.7564 0.2544
Li6 Li 0.5000 0.0000 0.5000
Li7 Li 0.5000 0.5000 0.5000
Mn1 Mn 0.0000 0.5000 0.5000
Mn2 Mn 0.2432 0.7581 0.7470
Mn3 Mn 0.2435 0.2501 0.7474
Mn4 Mn 0.5000 0.0000 0.0000
Mn5 Mn 0.5000 0.5000 0.0000
O1 O 0.9995 0.4829 0.2636
O2 O 0.0242 0.0031 0.7509
O3 O 0.2233 0.2780 0.5119
O4 O 0.2407 0.7357 0.5121
O5 O 0.2590 0.2659 0.9887
O6 O 0.2600 0.7653 0.9871
O7 O 0.4797 0.4971 0.7608
O8 O 0.4955 0.9865 0.7558
```

***

No. 12
Material: Li2TiNi2O5
Method: DFT, PBE with a Hubbard U
State: optimized geometry

Output
- calculated density (g/cm³) = 4.75
- energy with MP2020 corrections (eV/f.u.) = -70.38
- offset from the most stable computed form (eV/f.u.) = 0.00
- magnetic moment (μB per cell) = 16.0

```
data_Li2TiNi2O5
_cell_length_a 5.1515
_cell_length_b 14.5552
_cell_length_c 5.1830
_cell_angle_alpha 90.00
_cell_angle_beta 111.24
_cell_angle_gamma 90.00
_symmetry_space_group_name_H-M 'C 1 2 1'
_symmetry_Int_Tables_number 5
loop_
_symmetry_equiv_pos_as_xyz
'x,y,z'
'-x,y,-z'
'x+1/2,y+1/2,z'
'-x+1/2,y+1/2,-z'
loop_
_atom_site_label
_atom_site_type_symbol
_atom_site_fract_x
_atom_site_fract_y
_atom_site_fract_z
Li1 Li 0.0000 0.0000 0.0000
Li2 Li 0.0000 0.0998 0.5000
Li3 Li 0.0000 0.3980 0.0000
Li4 Li 0.0000 0.6957 0.5000
Ti1 Ti 0.0000 0.5973 0.0000
Ti2 Ti 0.0000 0.8980 0.5000
Ni1 Ni 0.0000 0.1982 0.0000
Ni2 Ni 0.0000 0.2944 0.5000
Ni3 Ni 0.0000 0.4998 0.5000
Ni4 Ni 0.0000 0.7992 0.0000
O1 O 0.2276 0.5982 0.7735
O2 O 0.2355 0.8968 0.2716
O3 O 0.2411 0.8037 0.7414
O4 O 0.2484 0.4984 0.2558
O5 O 0.2485 0.6952 0.2351
```

***

Which DFT formation energy belongs to each record? In order, -2.597 -0.894 -1.516 -2.006 -1.829 -2.441 -2.405 -2.160 -1.234 -3.391 -2.133 -2.237 eV per atom.